This record from Materials Project describes a relaxed CsMnC3N3 crystal. The functional is PBE.

The total magnetization is 0.1249 μB per atom. As for the energy with MP2020 corrections: -520.55 eV/cell.

The structure belongs to space group Fm-3m (No. 225); the cell edges are 10.109, 10.109 and 10.109 Å and the angles 90.00°, 90.00° and 90.00°. The asymmetric unit holds Cs at (0.250, 0.250, 0.250), Mn at (0.000, 0.000, 0.000), Mn at (0.000, 0.000, 0.500), C at (0.000, 0.000, 0.190) and N at (0.000, 0.000, 0.308).